First-principles (PBE) data for crystalline AgAu2S2 at its relaxed geometry, as listed in the Materials Project database.

**Size of the total moment**: 0.00 μB/f.u.
**Energy relative to the elements**: -167 meV/atom
**Energy**: -3.497 eV per atom
**Symmetry**: Pc

a b c (Å): 4.4540 7.1725 7.2885
angles (deg): 89.06 90.00 90.00
Last column: nearest neighbours and their distance in Å.
Element x y z (fractional)
S 0.7359 0.0098 0.5494  1 Au 2.32, 3 Ag 2.50-2.52
S 0.8296 0.5056 0.9725  3 Au 2.33-2.34
S 0.1704 0.0056 0.9725  3 Au 2.33-2.34
S 0.2641 0.5098 0.5494  1 Au 2.32, 3 Ag 2.50-2.52
Au 0.4990 0.2555 0.0082  2 S 2.33
Au 0.5010 0.7555 0.0082  2 S 2.33
Au 0.8960 0.0001 0.2470  2 S 2.32-2.34
Au 0.1040 0.5001 0.2470  2 S 2.32-2.34
Ag 0.2369 0.8540 0.5979  3 S 2.50-2.52
Ag 0.7631 0.3540 0.5979  3 S 2.50-2.52


First-principles (PBE) data for crystalline MgSi2 at its relaxed geometry, as listed in the Materials Project database.

**Size of the total moment**: 0.00 μB/f.u.
**Energy relative to the elements**: 174 meV/atom
**Energy**: -4.023 eV per atom
**Symmetry**: Cmcm
**Energy relative to the lowest polymorph listed for this composition**: 0.097 eV/atom

a b c (Å): 5.8084 5.8084 5.3458
angles (deg): 90.00 90.00 144.94
Last column: nearest neighbours and their distance in Å.
Element x y z (fractional)
Mg 0.1815 0.8185 0.2500  8 Si 2.77-2.98
Mg 0.8185 0.1815 0.7500  8 Si 2.77-2.98
Si 0.8827 0.1173 0.2500  4 Si 2.56, 4 Mg 2.77-2.83
Si 0.5000 0.5000 0.5000  6 Si 2.56-2.67
Si 0.1173 0.8827 0.7500  4 Si 2.56, 4 Mg 2.77-2.83
Si 0.5000 0.5000 0.0000  6 Si 2.56-2.67


First-principles (PBE) data for crystalline Li5SbS4 at its relaxed geometry, as listed in the Materials Project database.

**Size of the total moment**: 0.00 μB/f.u.
**Energy relative to the elements**: -1184 meV/atom
**Energy**: -4.005 eV per atom
**Symmetry**: P4_2/nmc
**Energy relative to the lowest polymorph listed for this composition**: 0.036 eV/atom

a b c (Å): 16.5053 16.5053 5.9339
angles (deg): 90.00 90.00 90.00
Last column: nearest neighbours and their distance in Å.
Element x y z (fractional)
Sb 0.4818 0.7500 0.7144  4 S 2.59-2.71
Sb 0.0182 0.7500 0.7144  4 S 2.59-2.71
Sb 0.2500 0.9818 0.7856  4 S 2.59-2.71
Sb 0.2500 0.5182 0.7856  4 S 2.59-2.71
Sb 0.7500 0.4818 0.2144  4 S 2.59-2.71
Sb 0.5182 0.2500 0.2856  4 S 2.59-2.71
Sb 0.9818 0.2500 0.2856  4 S 2.59-2.71
Sb 0.7500 0.0182 0.2144  4 S 2.59-2.71
Li 0.2500 0.7500 0.7500  4 S 2.56
Li 0.8781 0.1219 0.7500  4 S 2.51-2.53
Li 0.8632 0.8884 0.6873  4 S 2.42-2.64
Li 0.1116 0.3632 0.8127  4 S 2.42-2.64
Li 0.8781 0.3781 0.7500  4 S 2.51-2.53
Li 0.1368 0.1116 0.3127  4 S 2.42-2.64
Li 0.2500 0.2500 0.3398  4 S 2.46-2.48
Li 0.2500 0.7500 0.2500  4 S 2.40
Li 0.5113 0.0113 0.2500  4 S 2.41-2.49
Li 0.3884 0.3632 0.8127  4 S 2.42-2.64
Li 0.1368 0.3884 0.3127  4 S 2.42-2.64
Li 0.1219 0.8781 0.2500  4 S 2.51-2.53
Li 0.8884 0.8632 0.1873  4 S 2.42-2.64
Li 0.8632 0.6116 0.6873  4 S 2.42-2.64
Li 0.1219 0.6219 0.2500  4 S 2.51-2.53
Li 0.6368 0.6116 0.6873  4 S 2.42-2.64
Li 0.0113 0.5113 0.7500  4 S 2.41-2.49
Li 0.1116 0.1368 0.8127  4 S 2.42-2.64
Li 0.6116 0.8632 0.1873  4 S 2.42-2.64
Li 0.6219 0.3781 0.7500  4 S 2.51-2.53
Li 0.3632 0.3884 0.3127  4 S 2.42-2.64
Li 0.0113 0.9887 0.7500  4 S 2.41-2.49
Li 0.7500 0.2500 0.7500  4 S 2.40
Li 0.3781 0.6219 0.2500  4 S 2.51-2.53
Li 0.2500 0.2500 0.8398  4 S 2.46-2.48
Li 0.9887 0.4887 0.2500  4 S 2.41-2.49
Li 0.3632 0.1116 0.3127  4 S 2.42-2.64
Li 0.3781 0.8781 0.2500  4 S 2.51-2.53
Li 0.4887 0.5113 0.7500  4 S 2.41-2.49
Li 0.7500 0.2500 0.2500  4 S 2.56
Li 0.5113 0.4887 0.2500  4 S 2.41-2.49
Li 0.6368 0.8884 0.6873  4 S 2.42-2.64
Li 0.7500 0.7500 0.6602  4 S 2.46-2.48
Li 0.9887 0.0113 0.2500  4 S 2.41-2.49
Li 0.4887 0.9887 0.7500  4 S 2.41-2.49
Li 0.3884 0.1368 0.8127  4 S 2.42-2.64
Li 0.6219 0.1219 0.7500  4 S 2.51-2.53
Li 0.7500 0.7500 0.1602  4 S 2.46-2.48
Li 0.8884 0.6368 0.1873  4 S 2.42-2.64
Li 0.6116 0.6368 0.1873  4 S 2.42-2.64
S 0.7500 0.8696 0.4081  6 Li 2.46-2.64, 1 Sb 2.71
S 0.4913 0.1163 0.5269  5 Li 2.41-2.53, 1 Sb 2.67
S 0.1163 0.0087 0.0269  5 Li 2.41-2.53, 1 Sb 2.67
S 0.9913 0.6163 0.4731  5 Li 2.41-2.53, 1 Sb 2.67
S 0.7500 0.1298 0.5215  4 Li 2.40-2.56, 1 Sb 2.59
S 0.3837 0.4913 0.0269  5 Li 2.41-2.53, 1 Sb 2.67
S 0.4913 0.3837 0.5269  5 Li 2.41-2.53, 1 Sb 2.67
S 0.3696 0.2500 0.0919  6 Li 2.46-2.64, 1 Sb 2.71
S 0.0087 0.3837 0.5269  5 Li 2.41-2.53, 1 Sb 2.67
S 0.2500 0.6298 0.4785  4 Li 2.40-2.56, 1 Sb 2.59
S 0.3702 0.7500 0.0215  4 Li 2.40-2.56, 1 Sb 2.59
S 0.6163 0.9913 0.9731  5 Li 2.41-2.53, 1 Sb 2.67
S 0.2500 0.8702 0.4785  4 Li 2.40-2.56, 1 Sb 2.59
S 0.8702 0.2500 0.9785  4 Li 2.40-2.56, 1 Sb 2.59
S 0.0087 0.1163 0.5269  5 Li 2.41-2.53, 1 Sb 2.67
S 0.3837 0.0087 0.0269  5 Li 2.41-2.53, 1 Sb 2.67
S 0.1304 0.2500 0.0919  6 Li 2.46-2.64, 1 Sb 2.71
S 0.8837 0.9913 0.9731  5 Li 2.41-2.53, 1 Sb 2.67
S 0.7500 0.3702 0.5215  4 Li 2.40-2.56, 1 Sb 2.59
S 0.6298 0.2500 0.9785  4 Li 2.40-2.56, 1 Sb 2.59
S 0.2500 0.3696 0.5919  6 Li 2.46-2.64, 1 Sb 2.71
S 0.2500 0.1304 0.5919  6 Li 2.46-2.64, 1 Sb 2.71
S 0.5087 0.8837 0.4731  5 Li 2.41-2.53, 1 Sb 2.67
S 0.8696 0.7500 0.9081  6 Li 2.46-2.64, 1 Sb 2.71
S 0.1163 0.4913 0.0269  5 Li 2.41-2.53, 1 Sb 2.67
S 0.5087 0.6163 0.4731  5 Li 2.41-2.53, 1 Sb 2.67
S 0.1298 0.7500 0.0215  4 Li 2.40-2.56, 1 Sb 2.59
S 0.7500 0.6304 0.4081  6 Li 2.46-2.64, 1 Sb 2.71
S 0.6163 0.5087 0.9731  5 Li 2.41-2.53, 1 Sb 2.67
S 0.6304 0.7500 0.9081  6 Li 2.46-2.64, 1 Sb 2.71
S 0.8837 0.5087 0.9731  5 Li 2.41-2.53, 1 Sb 2.67
S 0.9913 0.8837 0.4731  5 Li 2.41-2.53, 1 Sb 2.67


First-principles (PBE) data for crystalline Te2MoW3Se6 at its relaxed geometry, as listed in the Materials Project database.

**Size of the total moment**: 0.00 μB/f.u.
**Energy relative to the elements**: -680 meV/atom
**Energy**: -6.859 eV per atom
**Symmetry**: P3m1
**Energy relative to the lowest polymorph listed for this composition**: 0.020 eV/atom

a b c (Å): 3.3817 3.3817 38.5295
angles (deg): 90.00 90.00 120.00
Last column: nearest neighbours and their distance in Å.
Element x y z (fractional)
W 0.3333 0.6667 0.6575  6 Se 2.56
W 0.3333 0.6667 0.2818  6 Te 2.72
W 0.0000 0.0000 0.4697  6 Se 2.56
Se 0.3333 0.6667 0.4266  3 W 2.56
Se 0.3333 0.6667 0.0510  3 Mo 2.56
Se 0.3333 0.6667 0.1369  3 Mo 2.56
Se 0.0000 0.0000 0.7006  3 W 2.56
Se 0.0000 0.0000 0.6144  3 W 2.56
Se 0.3333 0.6667 0.5128  3 W 2.56
Te 0.0000 0.0000 0.3308  3 W 2.72
Te 0.0000 0.0000 0.2328  3 W 2.72
Mo 0.0000 0.0000 0.0939  6 Se 2.56


First-principles (PBE) data for crystalline LiMg14Zr at its relaxed geometry, as listed in the Materials Project database.

**Size of the total moment**: 0.00 μB/f.u.
**Energy relative to the elements**: 30 meV/atom
**Energy**: -2.024 eV per atom
**Symmetry**: Amm2
**Energy relative to the lowest polymorph listed for this composition**: 0.013 eV/atom

a b c (Å): 6.4211 6.4216 10.1895
angles (deg): 90.00 90.00 120.00
Last column: nearest neighbours and their distance in Å.
Element x y z (fractional)
Mg 0.8391 0.1695 0.3742  1 Zr 3.12, 11 Mg 3.14-3.26
Mg 0.8357 0.6678 0.3701  1 Li 3.13, 11 Mg 3.15-3.23
Mg 0.1667 0.3334 0.6250  12 Mg 3.14-3.21
Mg 0.3305 0.6633 0.8777  10 Mg 3.12-3.26, 1 Zr 3.12, 1 Li 3.12
Mg 0.3305 0.1672 0.8777  10 Mg 3.12-3.26, 1 Zr 3.12, 1 Li 3.12
Mg 0.6668 0.3333 0.6250  12 Mg 3.17-3.21
Mg 0.8391 0.1695 0.8758  1 Zr 3.12, 11 Mg 3.14-3.26
Mg 0.6668 0.8335 0.6250  12 Mg 3.17-3.21
Mg 0.3305 0.6633 0.3723  10 Mg 3.12-3.26, 1 Zr 3.12, 1 Li 3.12
Mg 0.6603 0.8373 0.1250  8 Mg 3.12-3.30, 2 Li 3.12-3.30, 2 Zr 3.20-3.22
Mg 0.8357 0.6678 0.8799  1 Li 3.13, 11 Mg 3.15-3.23
Mg 0.3305 0.1672 0.3723  10 Mg 3.12-3.26, 1 Zr 3.12, 1 Li 3.12
Mg 0.6603 0.3231 0.1250  8 Mg 3.12-3.30, 2 Li 3.12-3.30, 2 Zr 3.20-3.22
Mg 0.1669 0.8335 0.6250  12 Mg 3.17-3.21
Li 0.1738 0.8369 0.1250  10 Mg 3.12-3.30, 2 Zr 3.21
Zr 0.1666 0.3333 0.1250  10 Mg 3.12-3.22, 2 Li 3.21


First-principles (PBE) data for crystalline Cs2AlAuF6 at its relaxed geometry, as listed in the Materials Project database.

**Size of the total moment**: 0.00 μB/f.u.
**Energy relative to the elements**: -2855 meV/atom
**Energy**: -4.608 eV per atom
**Symmetry**: Fm-3m

a b c (Å): 6.3063 6.3063 6.3063
angles (deg): 60.00 60.00 60.00
Last column: nearest neighbours and their distance in Å.
Element x y z (fractional)
F 0.7921 0.2079 0.7921  1 Al 1.85
F 0.2079 0.7921 0.7921  1 Al 1.85
F 0.7921 0.7921 0.2079  1 Al 1.85
F 0.2079 0.2079 0.7921  1 Al 1.85
F 0.2079 0.7921 0.2079  1 Al 1.85
F 0.7921 0.2079 0.2079  1 Al 1.85
Cs 0.2500 0.2500 0.2500  12 F 3.18
Cs 0.7500 0.7500 0.7500  12 F 3.18
Au 0.5000 0.5000 0.5000  6 F 2.61
Al 0.0000 0.0000 0.0000  6 F 1.85